(1)
Entry from Materials Project: LiZnPO4 after structural relaxation (GGA-PBE).

abc: 17.482 9.880 17.338
angles: 90.00 110.94 90.00
Space group Cc (No. 9)
Inequivalent atoms, fractional coordinates:
1 Li 0.000 0.035 0.000 [4 per cell]
2 Li 0.025 0.437 0.497 [4 per cell]
3 Li 0.035 0.321 0.747 [4 per cell]
4 Li 0.066 0.211 0.249 [4 per cell]
5 Li 0.246 0.283 0.998 [4 per cell]
6 Li 0.282 0.193 0.497 [4 per cell]
7 Li 0.285 0.068 0.747 [4 per cell]
8 Li 0.314 0.461 0.247 [4 per cell]
9 Zn 0.121 0.213 0.622 [4 per cell]
10 Zn 0.153 0.317 0.123 [4 per cell]
11 Zn 0.160 0.438 0.372 [4 per cell]
12 Zn 0.186 0.034 0.872 [4 per cell]
13 Zn 0.371 0.036 0.122 [4 per cell]
14 Zn 0.402 0.430 0.623 [4 per cell]
15 Zn 0.408 0.311 0.872 [4 per cell]
16 Zn 0.439 0.214 0.372 [4 per cell]
17 P 0.189 0.030 0.060 [4 per cell]
18 P 0.216 0.438 0.561 [4 per cell]
19 P 0.219 0.311 0.809 [4 per cell]
20 P 0.249 0.217 0.311 [4 per cell]
21 P 0.437 0.284 0.060 [4 per cell]
22 P 0.468 0.188 0.562 [4 per cell]
23 P 0.471 0.062 0.809 [4 per cell]
24 P 0.497 0.467 0.311 [4 per cell]
25 O 0.010 0.188 0.824 [4 per cell]
26 O 0.014 0.250 0.636 [4 per cell]
27 O 0.044 0.405 0.077 [4 per cell]
28 O 0.050 0.352 0.324 [4 per cell]
29 O 0.075 0.029 0.299 [4 per cell]
30 O 0.112 0.032 0.571 [4 per cell]
31 O 0.138 0.351 0.547 [4 per cell]
32 O 0.145 0.410 0.792 [4 per cell]
33 O 0.172 0.251 0.234 [4 per cell]
34 O 0.174 0.186 0.046 [4 per cell]
35 O 0.200 0.473 0.982 [4 per cell]
36 O 0.203 0.214 0.734 [4 per cell]
37 O 0.206 0.032 0.485 [4 per cell]
38 O 0.228 0.221 0.886 [4 per cell]
39 O 0.234 0.464 0.136 [4 per cell]
40 O 0.235 0.280 0.387 [4 per cell]
41 O 0.260 0.061 0.324 [4 per cell]
42 O 0.266 0.002 0.138 [4 per cell]
43 O 0.292 0.345 0.576 [4 per cell]
44 O 0.298 0.396 0.825 [4 per cell]
45 O 0.327 0.275 0.299 [4 per cell]
46 O 0.360 0.219 0.071 [4 per cell]
47 O 0.390 0.100 0.547 [4 per cell]
48 O 0.397 0.158 0.793 [4 per cell]
49 O 0.420 0.499 0.234 [4 per cell]
50 O 0.424 0.439 0.047 [4 per cell]
51 O 0.451 0.225 0.982 [4 per cell]
52 O 0.454 0.035 0.234 [4 per cell]
53 O 0.454 0.279 0.485 [4 per cell]
54 O 0.482 0.471 0.886 [4 per cell]
55 O 0.484 0.027 0.387 [4 per cell]
56 O 0.484 0.283 0.638 [4 per cell]

## Properties
- formation energy (kcal/mol of atoms) = -58.70
- energy relative to the lowest polymorph listed for this composition (meV/atom) = 1
- E (eV per atom) = -6.2064


(2)
Entry from Materials Project: ZnCo4S8 after structural relaxation (GGA-PBE).

abc: 6.6039 6.6039 17.7699
angles: 90.00 90.00 120.00
Space group R-3m (No. 166, hexagonal axes)
Inequivalent atoms, fractional coordinates:
1 Zn 0.0000 0.0000 0.0000 [3 per cell]
2 Co 0.0000 0.0000 0.5000 [3 per cell]
3 Co 0.0000 0.5000 0.5000 [9 per cell]
4 S 0.0000 0.0000 0.2353 [6 per cell]
5 S 0.0074 0.5037 0.7651 [18 per cell]

## Properties
- formation energy (kcal/mol of atoms) = -14.42
- energy relative to the lowest polymorph listed for this composition (meV/atom) = 0
- E (eV per atom) = -5.1453


(3)
Entry from Materials Project: KI after structural relaxation (GGA-PBE).

abc: 5.025 8.510 8.677
angles: 90.00 90.00 90.00
Space group Cmcm (No. 63)
Inequivalent atoms, fractional coordinates:
1 K 0.000 0.000 0.000 [4 per cell]
2 I 0.000 0.340 0.250 [4 per cell]

## Properties
- formation energy (kcal/mol of atoms) = -38.31
- E (eV per atom) = -2.7889


(4)
Entry from Materials Project: SiO2 after structural relaxation (GGA-PBE).

abc: 11.421 11.608 12.380
angles: 94.95 91.36 95.62
Space group P1 (No. 1)
Inequivalent atoms, fractional coordinates:
1 Si 0.000 0.000 0.000 [1 per cell]
2 Si 0.000 0.462 0.456 [1 per cell]
3 Si 0.002 0.320 0.797 [1 per cell]
4 Si 0.047 0.870 0.619 [1 per cell]
5 Si 0.051 0.279 0.485 [1 per cell]
6 Si 0.087 0.115 0.666 [1 per cell]
7 Si 0.107 0.689 0.791 [1 per cell]
8 Si 0.146 0.369 0.298 [1 per cell]
9 Si 0.224 0.485 0.782 [1 per cell]
10 Si 0.235 0.883 0.956 [1 per cell]
11 Si 0.283 0.989 0.611 [1 per cell]
12 Si 0.363 0.797 0.150 [1 per cell]
13 Si 0.405 0.455 0.362 [1 per cell]
14 Si 0.407 0.578 0.976 [1 per cell]
15 Si 0.410 0.416 0.617 [1 per cell]
16 Si 0.416 0.869 0.789 [1 per cell]
17 Si 0.497 0.157 0.614 [1 per cell]
18 Si 0.513 0.635 0.772 [1 per cell]
19 Si 0.546 0.394 0.021 [1 per cell]
20 Si 0.549 0.004 0.242 [1 per cell]
21 Si 0.569 0.258 0.231 [1 per cell]
22 Si 0.619 0.236 0.824 [1 per cell]
23 Si 0.620 0.519 0.323 [1 per cell]
24 Si 0.661 0.027 0.463 [1 per cell]
25 Si 0.672 0.848 0.795 [1 per cell]
26 Si 0.744 0.592 0.103 [1 per cell]
27 Si 0.772 0.138 0.286 [1 per cell]
28 Si 0.783 0.570 0.529 [1 per cell]
29 Si 0.791 0.838 0.582 [1 per cell]
30 Si 0.793 0.810 0.998 [1 per cell]
31 Si 0.795 0.417 0.729 [1 per cell]
32 Si 0.850 0.185 0.945 [1 per cell]
33 Si 0.888 0.596 0.919 [1 per cell]
34 Si 0.978 0.200 0.156 [1 per cell]
35 O 0.015 0.616 0.866 [1 per cell]
36 O 0.020 0.990 0.688 [1 per cell]
37 O 0.045 0.166 0.553 [1 per cell]
38 O 0.046 0.095 0.101 [1 per cell]
39 O 0.053 0.767 0.701 [1 per cell]
40 O 0.057 0.200 0.766 [1 per cell]
41 O 0.077 0.312 0.186 [1 per cell]
42 O 0.077 0.481 0.347 [1 per cell]
43 O 0.093 0.414 0.545 [1 per cell]
44 O 0.114 0.410 0.830 [1 per cell]
45 O 0.120 0.959 0.946 [1 per cell]
46 O 0.141 0.266 0.383 [1 per cell]
47 O 0.169 0.904 0.552 [1 per cell]
48 O 0.177 0.593 0.722 [1 per cell]
49 O 0.195 0.765 0.879 [1 per cell]
50 O 0.227 0.103 0.669 [1 per cell]
51 O 0.264 0.864 0.080 [1 per cell]
52 O 0.288 0.414 0.287 [1 per cell]
53 O 0.295 0.407 0.693 [1 per cell]
54 O 0.295 0.536 0.894 [1 per cell]
55 O 0.324 0.748 0.257 [1 per cell]
56 O 0.337 0.902 0.688 [1 per cell]
57 O 0.359 0.929 0.898 [1 per cell]
58 O 0.383 0.442 0.488 [1 per cell]
59 O 0.395 0.057 0.556 [1 per cell]
60 O 0.402 0.697 0.051 [1 per cell]
61 O 0.411 0.726 0.773 [1 per cell]
62 O 0.431 0.464 0.042 [1 per cell]
63 O 0.464 0.290 0.601 [1 per cell]
64 O 0.480 0.904 0.163 [1 per cell]
65 O 0.493 0.574 0.342 [1 per cell]
66 O 0.494 0.135 0.244 [1 per cell]
67 O 0.495 0.528 0.675 [1 per cell]
68 O 0.517 0.587 0.892 [1 per cell]
69 O 0.524 0.150 0.745 [1 per cell]
70 O 0.528 0.378 0.311 [1 per cell]
71 O 0.545 0.317 0.905 [1 per cell]
72 O 0.555 0.301 0.112 [1 per cell]
73 O 0.555 0.917 0.778 [1 per cell]
74 O 0.560 0.977 0.370 [1 per cell]
75 O 0.614 0.124 0.551 [1 per cell]
76 O 0.638 0.709 0.758 [1 per cell]
77 O 0.660 0.490 0.033 [1 per cell]
78 O 0.689 0.037 0.207 [1 per cell]
79 O 0.690 0.316 0.739 [1 per cell]
80 O 0.696 0.507 0.431 [1 per cell]
81 O 0.705 0.879 0.926 [1 per cell]
82 O 0.706 0.258 0.273 [1 per cell]
83 O 0.706 0.564 0.229 [1 per cell]
84 O 0.711 0.917 0.516 [1 per cell]
85 O 0.714 0.171 0.895 [1 per cell]
86 O 0.730 0.731 0.091 [1 per cell]
87 O 0.745 0.700 0.552 [1 per cell]
88 O 0.764 0.496 0.633 [1 per cell]
89 O 0.770 0.099 0.408 [1 per cell]
90 O 0.777 0.881 0.711 [1 per cell]
91 O 0.810 0.493 0.845 [1 per cell]
92 O 0.833 0.717 0.904 [1 per cell]
93 O 0.866 0.222 0.076 [1 per cell]
94 O 0.875 0.574 0.050 [1 per cell]
95 O 0.910 0.895 0.044 [1 per cell]
96 O 0.911 0.156 0.261 [1 per cell]
97 O 0.916 0.067 0.919 [1 per cell]
98 O 0.918 0.360 0.701 [1 per cell]
99 O 0.920 0.299 0.899 [1 per cell]
100 O 0.920 0.566 0.490 [1 per cell]
101 O 0.927 0.327 0.437 [1 per cell]
102 O 0.928 0.842 0.542 [1 per cell]

## Properties
- formation energy (kcal/mol of atoms) = -71.68
- E (eV per atom) = -7.7576


Number 1: density 3.2 g cm⁻³. Number 2: density 4.1 g cm⁻³. Number 3: density 3.0 g cm⁻³. Number 4: density 2.1 g cm⁻³.